YHfF7 | PBE | relaxed

Lattice parameters (Å, degrees): 5.7051 6.1042 8.2710 102.02 90.00 90.00
With the nearest neighbours (Å) after each atom.
Fractional positions:
Y (0.1972, 0.3437, 0.3145)  8 F 2.19-2.37
Y (0.6972, 0.6563, 0.6855)  8 F 2.19-2.37
F (0.4464, 0.0386, 0.2402)  1 Hf 2.02
F (0.4959, 0.5453, 0.2126)  1 Hf 2.01
F (0.9959, 0.4547, 0.7874)  1 Hf 2.01
F (0.9997, 0.6219, 0.2174)  1 Hf 2.02
F (0.7110, 0.8614, 0.4714)  1 Hf 2.01
F (0.2039, 0.2444, 0.0227)  1 Hf 1.99
F (0.9261, 0.0720, 0.2305)  1 Hf 2.01
F (0.7039, 0.7556, 0.9773)  1 Hf 1.99
F (0.2110, 0.1386, 0.5286)  1 Hf 2.01
F (0.9464, 0.9614, 0.7598)  1 Hf 2.02
F (0.4261, 0.9280, 0.7695)  1 Hf 2.01
F (0.4997, 0.3781, 0.7826)  1 Hf 2.02
F (0.8885, 0.4531, 0.4774)  2 Y 2.19-2.23
F (0.3885, 0.5469, 0.5226)  2 Y 2.19-2.23
Hf (0.2076, 0.1890, 0.7764)  6 F 1.99-2.02
Hf (0.7076, 0.8110, 0.2236)  6 F 1.99-2.02

Output
Total DFT energy (no corrections): -7.260 eV/atom
Formation energy from the elements: -4.305 eV per atom
Corrected total energy (MP2020 scheme): -7.62 eV per atom
Volume: 140.9 Å³/f.u.